The following is a GGA-PBE calculation of crystalline MnCuAs at its relaxed geometry, from the Materials Project.

It has space group Pnma (No. 62), with a = 6.257 Å, b = 3.693 Å, c = 7.605 Å, α = 90.00°, β = 90.00° and γ = 90.00°. The distinct sites, in fractional coordinates, are Mn at (0.044, 0.250, 0.164), Cu at (0.136, 0.250, 0.560) and As at (0.248, 0.250, 0.863).

Its electronic total energy is -71.55 eV for the cell shown. Its volume is 175.73 Å³ per cell. The energy relative to the elements comes out at 0.011 eV per atom.